Record 1
A geometry-optimized BaBr2 structure. Source: the Materials Project, functional r2SCAN.

The structure in CIF format:
```
data_BaBr2
_chemical_formula_sum 'Ba4 Br8'
_symmetry_space_group_name_H-M 'P n m a'
_symmetry_Int_Tables_number 62
_cell_length_a 8.338
_cell_length_b 5.014
_cell_length_c 10.043
_cell_angle_alpha 90.00
_cell_angle_beta 90.00
_cell_angle_gamma 90.00
loop_
_symmetry_equiv_pos_as_xyz
'x,y,z'
'-x,-y,-z'
'-x+1/2,-y,z+1/2'
'x+1/2,y,-z+1/2'
'x+1/2,-y+1/2,-z+1/2'
'-x+1/2,y+1/2,z+1/2'
'-x,y+1/2,-z'
'x,-y+1/2,z'
loop_
_atom_site_label
_atom_site_type_symbol
_atom_site_fract_x
_atom_site_fract_y
_atom_site_fract_z
Ba1 Ba 0.248 0.250 0.117
Br1 Br 0.026 0.250 0.831
Br2 Br 0.143 0.250 0.429
```

Summary:
Its crystal system is orthorhombic. The calculation puts the formation energy from the elements at -2503 meV/atom.



Record 2
A geometry-optimized CsBa2Br5 structure. Source: the Materials Project, functional r2SCAN.

The structure in CIF format:
```
data_CsBa2Br5
_chemical_formula_sum 'Cs4 Ba8 Br20'
_symmetry_space_group_name_H-M 'P 1 21/c 1'
_symmetry_Int_Tables_number 14
_cell_length_a 10.067
_cell_length_b 8.760
_cell_length_c 14.006
_cell_angle_alpha 90.00
_cell_angle_beta 90.21
_cell_angle_gamma 90.00
loop_
_symmetry_equiv_pos_as_xyz
'x,y,z'
'-x,-y,-z'
'-x,y+1/2,-z+1/2'
'x,-y+1/2,z+1/2'
loop_
_atom_site_label
_atom_site_type_symbol
_atom_site_fract_x
_atom_site_fract_y
_atom_site_fract_z
Cs1 Cs 0.011 0.057 0.334
Ba1 Ba 0.252 0.569 0.492
Ba2 Ba 0.500 0.029 0.323
Br1 Br 0.037 0.177 0.079
Br2 Br 0.274 0.691 0.718
Br3 Br 0.286 0.548 0.997
Br4 Br 0.288 0.166 0.813
Br5 Br 0.460 0.164 0.099
```

Summary:
Its crystal system is monoclinic. The calculation puts the formation energy from the elements at -2397 meV/atom.



Record 3
A geometry-optimized BaBr2F8 structure. Source: the Materials Project, functional r2SCAN.

The structure in CIF format:
```
data_BaBr2F8
_chemical_formula_sum 'Ba4 Br8 F32'
_symmetry_space_group_name_H-M 'I -4'
_symmetry_Int_Tables_number 82
_cell_length_a 9.669
_cell_length_b 9.669
_cell_length_c 7.963
_cell_angle_alpha 90.00
_cell_angle_beta 90.00
_cell_angle_gamma 90.00
loop_
_symmetry_equiv_pos_as_xyz
'x,y,z'
'y,-x,-z'
'-x,-y,z'
'-y,x,-z'
'x+1/2,y+1/2,z+1/2'
'y+1/2,-x+1/2,-z+1/2'
'-x+1/2,-y+1/2,z+1/2'
'-y+1/2,x+1/2,-z+1/2'
loop_
_atom_site_label
_atom_site_type_symbol
_atom_site_fract_x
_atom_site_fract_y
_atom_site_fract_z
Ba1 Ba 0.000 0.000 0.000
Ba2 Ba 0.000 0.500 0.250
Br1 Br 0.158 0.276 0.616
F1 F 0.018 0.680 0.522
F2 F 0.057 0.723 0.995
F3 F 0.088 0.114 0.715
F4 F 0.159 0.254 0.206
```

Summary:
Its crystal system is tetragonal. The calculation puts the formation energy from the elements at -1832 meV/atom.



Record 4
A geometry-optimized BaHBr structure. Source: the Materials Project, functional r2SCAN.

The structure in CIF format:
```
data_BaHBr
_chemical_formula_sum 'Ba2 H2 Br2'
_symmetry_space_group_name_H-M 'P 4/n m m'
_symmetry_Int_Tables_number 129
_cell_length_a 4.565
_cell_length_b 4.565
_cell_length_c 7.440
_cell_angle_alpha 90.00
_cell_angle_beta 90.00
_cell_angle_gamma 90.00
loop_
_symmetry_equiv_pos_as_xyz
'x,y,z'
'-x,-y,-z'
'-y+1/2,x,z'
'y+1/2,-x,-z'
'-x+1/2,-y+1/2,z'
'x+1/2,y+1/2,-z'
'y,-x+1/2,z'
'-y,x+1/2,-z'
'x+1/2,-y,-z'
'-x+1/2,y,z'
'-y,-x,-z'
'y,x,z'
'-x,y+1/2,-z'
'x,-y+1/2,z'
'y+1/2,x+1/2,-z'
'-y+1/2,-x+1/2,z'
loop_
_atom_site_label
_atom_site_type_symbol
_atom_site_fract_x
_atom_site_fract_y
_atom_site_fract_z
Ba1 Ba 0.250 0.250 0.194
H1 H 0.250 0.750 0.000
Br1 Br 0.250 0.250 0.656
```

Summary:
Its crystal system is tetragonal. The calculation puts the formation energy from the elements at -1627 meV/atom.



Record 5
A geometry-optimized BaBr2O6 structure. Source: the Materials Project, functional r2SCAN.

The structure in CIF format:
```
data_BaBr2O6
_chemical_formula_sum 'Ba4 Br8 O24'
_symmetry_space_group_name_H-M 'C 1 2/c 1'
_symmetry_Int_Tables_number 15
_cell_length_a 12.391
_cell_length_b 7.955
_cell_length_c 8.593
_cell_angle_alpha 90.00
_cell_angle_beta 129.65
_cell_angle_gamma 90.00
loop_
_symmetry_equiv_pos_as_xyz
'x,y,z'
'-x,-y,-z'
'-x,y,-z+1/2'
'x,-y,z+1/2'
'x+1/2,y+1/2,z'
'-x+1/2,-y+1/2,-z'
'-x+1/2,y+1/2,-z+1/2'
'x+1/2,-y+1/2,z+1/2'
loop_
_atom_site_label
_atom_site_type_symbol
_atom_site_fract_x
_atom_site_fract_y
_atom_site_fract_z
Ba1 Ba 0.000 0.144 0.250
Br1 Br 0.189 0.488 0.683
O1 O 0.094 0.338 0.082
O2 O 0.145 0.055 0.654
O3 O 0.188 0.407 0.502
```

Summary:
Its crystal system is monoclinic. The calculation puts the formation energy from the elements at -738 meV/atom.



Record 6
A geometry-optimized Ba4Br6O structure. Source: the Materials Project, functional r2SCAN.

The structure in CIF format:
```
data_Ba4Br6O
_chemical_formula_sum 'Ba8 Br12 O2'
_symmetry_space_group_name_H-M 'P 63 m c'
_symmetry_Int_Tables_number 186
_symmetry_space_group_name_Hall 'P 6c -2c'
_cell_length_a 10.4515
_cell_length_b 10.4515
_cell_length_c 7.9914
_cell_angle_alpha 90.00
_cell_angle_beta 90.00
_cell_angle_gamma 120.00
loop_
_atom_site_label
_atom_site_type_symbol
_atom_site_fract_x
_atom_site_fract_y
_atom_site_fract_z
Ba1 Ba 0.1990 0.3980 0.0000
Ba2 Ba 0.3333 0.6667 0.4187
Br1 Br 0.0614 0.5307 0.7082
Br2 Br 0.1425 0.2851 0.3928
O1 O 0.3333 0.6667 0.0997
```

Summary:
Its crystal system is hexagonal. The calculation puts the formation energy from the elements at -2610 meV/atom.



Record 7
A geometry-optimized Ba2P7Br structure. Source: the Materials Project, functional r2SCAN.

The structure in CIF format:
```
data_Ba2P7Br
_chemical_formula_sum 'Ba4 P14 Br2'
_symmetry_space_group_name_H-M 'P 1 21/m 1'
_symmetry_Int_Tables_number 11
_cell_length_a 6.381
_cell_length_b 6.946
_cell_length_c 11.999
_cell_angle_alpha 90.00
_cell_angle_beta 95.87
_cell_angle_gamma 90.00
loop_
_symmetry_equiv_pos_as_xyz
'x,y,z'
'-x,-y,-z'
'-x,y+1/2,-z'
'x,-y+1/2,z'
loop_
_atom_site_label
_atom_site_type_symbol
_atom_site_fract_x
_atom_site_fract_y
_atom_site_fract_z
Ba1 Ba 0.067 0.250 0.352
Ba2 Ba 0.287 0.250 0.955
P1 P 0.170 0.750 0.224
P2 P 0.171 0.750 0.406
P3 P 0.362 0.082 0.687
P4 P 0.373 0.508 0.197
P5 P 0.494 0.250 0.553
Br1 Br 0.154 0.750 0.914
```

Summary:
Its crystal system is monoclinic. The calculation puts the formation energy from the elements at -897 meV/atom.



Record 8
A geometry-optimized Rb2BaBr4 structure. Source: the Materials Project, functional r2SCAN.

The structure in CIF format:
```
data_Rb2BaBr4
_chemical_formula_sum 'Rb8 Ba4 Br16'
_symmetry_space_group_name_H-M 'I -4 2 d'
_symmetry_Int_Tables_number 122
_symmetry_space_group_name_Hall 'I -4 2bw'
_cell_length_a 10.027
_cell_length_b 10.027
_cell_length_c 10.167
_cell_angle_alpha 90.00
_cell_angle_beta 90.00
_cell_angle_gamma 90.00
loop_
_atom_site_label
_atom_site_type_symbol
_atom_site_fract_x
_atom_site_fract_y
_atom_site_fract_z
Rb1 Rb 0.117 0.750 0.125
Ba1 Ba 0.000 0.000 0.500
Br1 Br 0.069 0.680 0.458
```

Summary:
Its crystal system is tetragonal. The calculation puts the formation energy from the elements at -2205 meV/atom.



| no. | total energy (eV/cell) |
| --- | --- |
| 1 | -242.10 |
| 2 | -654.32 |
| 3 | -392.70 |
| 4 | -96.19 |
| 5 | -381.97 |
| 6 | -440.47 |
| 7 | -276.48 |
| 8 | -491.33 |